The following is a DFT calculation (GGA+U) of an optimized crystal structure of Ti3Fe5O12.

Crystal system ... triclinic
Space group ... P-1 (2)
ρ ... 4.8 g/cm³
ΔE_f ... -2.355 eV per atom
Magnetization ... 22.0 μB/f.u.
Energy relative to the lowest polymorph listed for this composition ... 79.1 meV per atom

a b c (Å): 5.5328 7.5780 10.2809
angles (deg): 89.95 89.75 83.52
Element x y z (fractional)
Ti1 0.7977 0.6450 0.2553
Ti2 0.2023 0.3550 0.7447
Ti3 0.7100 0.8572 0.5048
Ti4 0.2900 0.1428 0.4952
Ti5 0.2863 0.1428 0.9996
Ti6 0.7137 0.8572 0.0004
O1 0.8392 0.8920 0.3297
O2 0.8465 0.8944 0.8388
O3 0.6549 0.6063 0.4129
O4 0.5173 0.7428 0.1494
O5 0.1535 0.1056 0.1612
O6 0.1628 0.5887 0.8264
O7 0.6474 0.5990 0.9241
O8 0.0159 0.2395 0.4019
O9 0.4827 0.2572 0.8506
O10 0.5155 0.7529 0.6490
O11 0.3526 0.4010 0.0759
O12 0.3451 0.3937 0.5871
O13 0.9841 0.7605 0.5981
O14 0.6484 0.0905 0.0691
O15 0.9918 0.7500 0.0880
O16 0.3487 0.9129 0.4328
O17 0.8626 0.4104 0.6828
O18 0.1374 0.5896 0.3172
O19 0.4845 0.2471 0.3510
O20 0.6513 0.0871 0.5672
O21 0.0082 0.2500 0.9120
O22 0.8372 0.4113 0.1736
O23 0.1608 0.1080 0.6703
O24 0.3516 0.9095 0.9309
Fe1 0.7107 0.3542 0.5006
Fe2 0.2966 0.6433 0.9972
Fe3 0.2893 0.6458 0.4994
Fe4 0.2093 0.3503 0.2493
Fe5 0.7907 0.6497 0.7507
Fe6 0.7034 0.3567 0.0028
Fe7 0.7947 0.1501 0.2525
Fe8 0.7887 0.1487 0.7494
Fe9 0.2053 0.8499 0.7475
Fe10 0.2113 0.8513 0.2506